[1]
{
  "formula": "BaNaPrBiO6",
  "functional": "PBE-GGA",
  "state": "optimized geometry",
  "lattice": [[-8.427, -1.713, 1.806], [-1.730, -0.501, -8.548], [1.778, -8.594, 0.144]],
  "species": ["O", "O", "O", "O", "O", "O", "O", "O", "O", "O", "O", "O", "O", "O", "O", "O", "O", "O", "O", "O", "O", "O", "O", "O", "Pr", "Pr", "Pr", "Pr", "Na", "Na", "Na", "Na", "Bi", "Bi", "Bi", "Bi", "Ba", "Ba", "Ba", "Ba"],
  "fractional_positions": [[0.781, 0.693, 0.986], [0.778, 0.486, 0.313], [0.219, 0.307, 0.986], [0.278, 0.014, 0.813], [0.012, 0.204, 0.733], [0.012, 0.796, 0.267], [0.722, 0.014, 0.187], [0.719, 0.193, 0.486], [0.281, 0.193, 0.514], [0.778, 0.514, 0.687], [0.219, 0.693, 0.014], [0.512, 0.296, 0.233], [0.988, 0.796, 0.733], [0.512, 0.704, 0.767], [0.488, 0.704, 0.233], [0.722, 0.986, 0.813], [0.278, 0.986, 0.187], [0.281, 0.807, 0.486], [0.781, 0.307, 0.014], [0.988, 0.204, 0.267], [0.222, 0.486, 0.687], [0.222, 0.514, 0.313], [0.488, 0.296, 0.767], [0.719, 0.807, 0.514], [0.250, 0.750, 0.750], [0.750, 0.750, 0.250], [0.750, 0.250, 0.750], [0.250, 0.250, 0.250], [0.500, 0.000, 0.500], [0.000, 0.500, 0.500], [0.000, 0.500, 0.000], [0.500, 0.000, 0.000], [0.250, 0.750, 0.250], [0.250, 0.250, 0.750], [0.750, 0.250, 0.250], [0.750, 0.750, 0.750], [0.000, 0.000, 0.500], [0.500, 0.500, 0.000], [0.500, 0.500, 0.500], [0.000, 0.000, 0.000]],
  "spacegroup": "No. 48"
}



[2]
{
  "formula": "BaNaPrBiO6",
  "functional": "PBE-GGA",
  "state": "optimized geometry",
  "lattice": [[0.000, -4.446, -4.446], [4.446, 0.000, -4.446], [4.446, -4.446, 0.000]],
  "species": ["O", "O", "O", "O", "O", "O", "Ba", "Bi", "Na", "Pr"],
  "fractional_positions": [[0.238, 0.762, 0.762], [0.762, 0.238, 0.762], [0.762, 0.762, 0.238], [0.762, 0.238, 0.238], [0.238, 0.762, 0.238], [0.238, 0.238, 0.762], [0.250, 0.250, 0.250], [0.000, 0.000, 0.000], [0.750, 0.750, 0.750], [0.500, 0.500, 0.500]],
  "spacegroup": "No. 216"
}



[3]
{
  "formula": "BaNaSnBiO6",
  "functional": "PBE-GGA",
  "state": "optimized geometry",
  "lattice": [[0.000, -4.203, -4.203], [4.203, 0.000, -4.203], [4.203, -4.203, 0.000]],
  "species": ["Na", "O", "O", "O", "O", "O", "O", "Sn", "Ba", "Bi"],
  "fractional_positions": [[0.250, 0.250, 0.250], [0.253, 0.747, 0.747], [0.253, 0.747, 0.253], [0.747, 0.253, 0.253], [0.747, 0.253, 0.747], [0.253, 0.253, 0.747], [0.747, 0.747, 0.253], [0.500, 0.500, 0.500], [0.750, 0.750, 0.750], [0.000, 0.000, 0.000]],
  "spacegroup": "No. 216"
}



[4]
{
  "formula": "Ba2Na7Ti16Bi7O48",
  "functional": "PBE-GGA",
  "state": "optimized geometry",
  "lattice": [[-5.036, 0.591, -2.504], [-1.912, -3.832, -3.693], [-34.418, -27.115, 10.441]],
  "species": ["O", "O", "O", "O", "O", "O", "O", "O", "O", "O", "O", "O", "O", "O", "O", "O", "O", "O", "O", "O", "O", "O", "O", "O", "O", "O", "O", "O", "O", "O", "O", "O", "O", "O", "O", "O", "O", "O", "O", "O", "O", "O", "O", "O", "O", "O", "O", "O", "Ti", "Ti", "Ti", "Ti", "Ti", "Ti", "Ti", "Ti", "Ti", "Ti", "Ti", "Ti", "Ti", "Ti", "Ti", "Ti", "Na", "Na", "Na", "Na", "Na", "Na", "Na", "Bi", "Bi", "Bi", "Bi", "Bi", "Bi", "Bi", "Ba", "Ba"],
  "fractional_positions": [[0.260, 0.782, 0.839], [0.803, 0.684, 0.156], [0.725, 0.259, 0.846], [0.230, 0.261, 0.967], [0.691, 0.234, 0.351], [0.187, 0.310, 0.469], [0.726, 0.227, 0.908], [0.204, 0.314, 0.716], [0.311, 0.747, 0.274], [0.311, 0.748, 0.399], [0.255, 0.786, 0.965], [0.240, 0.266, 0.843], [0.803, 0.689, 0.280], [0.745, 0.248, 0.782], [0.800, 0.714, 0.779], [0.749, 0.185, 0.289], [0.227, 0.802, 0.089], [0.803, 0.690, 0.405], [0.311, 0.742, 0.150], [0.809, 0.694, 0.654], [0.784, 0.709, 0.906], [0.779, 0.716, 0.034], [0.231, 0.804, 0.212], [0.235, 0.806, 0.586], [0.691, 0.235, 0.476], [0.746, 0.182, 0.165], [0.747, 0.224, 0.037], [0.721, 0.253, 0.973], [0.693, 0.235, 0.600], [0.311, 0.748, 0.523], [0.233, 0.805, 0.461], [0.259, 0.728, 0.904], [0.749, 0.186, 0.414], [0.319, 0.752, 0.647], [0.186, 0.310, 0.344], [0.232, 0.805, 0.337], [0.690, 0.232, 0.226], [0.189, 0.312, 0.593], [0.804, 0.690, 0.529], [0.188, 0.303, 0.096], [0.694, 0.230, 0.102], [0.236, 0.800, 0.712], [0.185, 0.309, 0.220], [0.699, 0.236, 0.724], [0.757, 0.188, 0.663], [0.751, 0.186, 0.539], [0.286, 0.774, 0.776], [0.267, 0.743, 0.031], [0.024, 0.022, 0.627], [0.020, 0.019, 0.253], [0.511, 0.511, 0.190], [0.021, 0.021, 0.377], [0.023, 0.016, 0.128], [0.997, 0.991, 0.007], [0.516, 0.515, 0.439], [0.022, 0.021, 0.502], [0.025, 0.022, 0.872], [0.522, 0.519, 0.812], [0.516, 0.514, 0.314], [0.516, 0.515, 0.564], [0.518, 0.512, 0.941], [0.515, 0.517, 0.066], [0.023, 0.041, 0.750], [0.523, 0.518, 0.687], [0.279, 0.279, 0.534], [0.283, 0.280, 0.658], [0.267, 0.264, 0.038], [0.279, 0.277, 0.160], [0.279, 0.279, 0.410], [0.288, 0.289, 0.780], [0.279, 0.278, 0.285], [0.796, 0.792, 0.723], [0.791, 0.792, 0.473], [0.280, 0.282, 0.913], [0.794, 0.795, 0.597], [0.791, 0.792, 0.348], [0.795, 0.784, 0.100], [0.789, 0.791, 0.224], [0.765, 0.765, 0.843], [0.758, 0.758, 0.972]],
  "spacegroup": "No. 1"
}



[5]
{
  "formula": "Ba2Na7Ti16Bi7O48",
  "functional": "PBE-GGA",
  "state": "optimized geometry",
  "lattice": [[5.543, 0.000, 0.000], [-2.771, 4.929, 0.000], [0.000, -2.963, 36.342]],
  "species": ["O", "O", "O", "O", "O", "O", "O", "O", "O", "O", "O", "O", "O", "O", "O", "O", "O", "O", "O", "O", "O", "O", "O", "O", "O", "O", "O", "O", "O", "O", "O", "O", "O", "O", "O", "O", "O", "O", "O", "O", "O", "O", "O", "O", "O", "O", "O", "O", "Na", "Na", "Na", "Na", "Na", "Na", "Na", "Ti", "Ti", "Ti", "Ti", "Ti", "Ti", "Ti", "Ti", "Ti", "Ti", "Ti", "Ti", "Ti", "Ti", "Ti", "Ti", "Bi", "Bi", "Bi", "Bi", "Bi", "Bi", "Bi", "Ba", "Ba"],
  "fractional_positions": [[0.761, 0.653, 0.150], [0.641, 0.867, 0.973], [0.017, 0.112, 0.405], [0.503, 0.118, 0.906], [0.643, 0.612, 0.280], [0.264, 0.369, 0.846], [0.136, 0.628, 0.779], [0.844, 0.373, 0.220], [0.881, 0.153, 0.523], [0.494, 0.330, 0.600], [0.132, 0.361, 0.967], [0.371, 0.883, 0.712], [0.871, 0.831, 0.724], [0.770, 0.118, 0.654], [0.150, 0.901, 0.965], [0.352, 0.382, 0.716], [0.777, 0.398, 0.839], [0.132, 0.153, 0.274], [0.450, 0.586, 0.908], [0.868, 0.884, 0.212], [0.617, 0.092, 0.289], [0.242, 0.589, 0.165], [0.118, 0.829, 0.476], [0.999, 0.330, 0.102], [0.994, 0.386, 0.586], [0.369, 0.827, 0.226], [0.392, 0.612, 0.529], [0.495, 0.386, 0.089], [0.261, 0.661, 0.647], [0.477, 0.877, 0.096], [0.992, 0.592, 0.414], [0.269, 0.109, 0.156], [0.090, 0.120, 0.782], [0.617, 0.884, 0.461], [0.747, 0.599, 0.663], [0.858, 0.119, 0.037], [0.612, 0.161, 0.776], [0.770, 0.879, 0.843], [0.972, 0.604, 0.904], [0.368, 0.092, 0.539], [0.969, 0.875, 0.593], [0.881, 0.631, 0.034], [0.743, 0.328, 0.351], [0.506, 0.653, 0.399], [0.360, 0.134, 0.031], [0.594, 0.373, 0.469], [0.219, 0.873, 0.344], [0.242, 0.383, 0.337], [0.258, 0.197, 0.658], [0.758, 0.195, 0.160], [0.883, 0.696, 0.534], [0.629, 0.698, 0.780], [0.381, 0.684, 0.038], [0.133, 0.695, 0.285], [0.508, 0.196, 0.410], [0.958, 0.289, 0.812], [0.019, 0.018, 0.007], [0.777, 0.049, 0.253], [0.711, 0.294, 0.066], [0.153, 0.551, 0.377], [0.585, 0.790, 0.687], [0.641, 0.535, 0.872], [0.528, 0.051, 0.502], [0.081, 0.782, 0.190], [0.833, 0.786, 0.439], [0.458, 0.286, 0.314], [0.272, 0.062, 0.750], [0.342, 0.794, 0.941], [0.904, 0.553, 0.627], [0.208, 0.287, 0.564], [0.408, 0.552, 0.128], [0.460, 0.475, 0.224], [0.211, 0.477, 0.473], [0.020, 0.216, 0.913], [0.586, 0.978, 0.597], [0.966, 0.482, 0.723], [0.095, 0.979, 0.100], [0.836, 0.976, 0.348], [0.673, 0.402, 0.972], [0.294, 0.902, 0.843]],
  "spacegroup": "No. 1"
}



[6]
{
  "formula": "Ba2NbBiO6",
  "functional": "PBE-GGA",
  "state": "optimized geometry",
  "lattice": [[-1.377, 5.794, -1.464], [-4.537, 2.878, 2.957], [1.328, 4.518, 3.929]],
  "species": ["O", "O", "O", "O", "O", "O", "Nb", "Ba", "Ba", "Bi"],
  "fractional_positions": [[0.273, 0.782, 0.680], [0.320, 0.727, 0.218], [0.680, 0.273, 0.782], [0.218, 0.320, 0.727], [0.782, 0.680, 0.273], [0.727, 0.218, 0.320], [0.500, 0.500, 0.500], [0.251, 0.251, 0.251], [0.749, 0.749, 0.749], [0.000, 0.000, 0.000]],
  "spacegroup": "No. 148"
}



[7]
{
  "formula": "BaNb6Bi6Pb2O27",
  "functional": "PBE-GGA",
  "state": "optimized geometry",
  "lattice": [[3.960, 0.000, 0.000], [0.000, 3.960, 0.000], [-1.980, -1.980, 38.220]],
  "species": ["Pb", "Pb", "O", "O", "O", "O", "O", "O", "O", "O", "O", "O", "O", "O", "O", "O", "O", "O", "O", "O", "O", "O", "O", "O", "O", "O", "O", "O", "O", "Bi", "Bi", "Bi", "Bi", "Bi", "Bi", "Nb", "Nb", "Nb", "Nb", "Nb", "Nb", "Ba"],
  "fractional_positions": [[0.500, 0.500, 0.000], [0.833, 0.833, 0.667], [0.721, 0.721, 0.442], [0.750, 0.250, 0.500], [0.860, 0.360, 0.719], [0.526, 0.026, 0.052], [0.612, 0.612, 0.224], [0.583, 0.083, 0.167], [0.054, 0.054, 0.108], [0.026, 0.526, 0.052], [0.000, 0.000, 0.000], [0.917, 0.417, 0.833], [0.417, 0.917, 0.833], [0.474, 0.974, 0.948], [0.640, 0.140, 0.280], [0.667, 0.667, 0.333], [0.807, 0.307, 0.614], [0.193, 0.693, 0.387], [0.360, 0.860, 0.719], [0.333, 0.333, 0.667], [0.250, 0.750, 0.500], [0.387, 0.387, 0.775], [0.693, 0.193, 0.387], [0.946, 0.946, 0.892], [0.279, 0.279, 0.558], [0.307, 0.807, 0.614], [0.974, 0.474, 0.948], [0.140, 0.640, 0.280], [0.083, 0.583, 0.167], [0.234, 0.234, 0.468], [0.900, 0.900, 0.801], [0.766, 0.766, 0.533], [0.099, 0.099, 0.199], [0.567, 0.567, 0.134], [0.433, 0.433, 0.866], [0.637, 0.637, 0.274], [0.971, 0.971, 0.942], [0.029, 0.029, 0.058], [0.304, 0.304, 0.608], [0.363, 0.363, 0.725], [0.696, 0.696, 0.392], [0.167, 0.167, 0.333]],
  "spacegroup": "No. 139"
}



[8]
{
  "formula": "BaSrNbBiO6",
  "functional": "PBE-GGA",
  "state": "optimized geometry",
  "lattice": [[-1.066, -8.537, -0.313], [0.153, -0.334, 8.602], [-8.533, 1.059, 0.193]],
  "species": ["O", "O", "O", "O", "O", "O", "O", "O", "O", "O", "O", "O", "O", "O", "O", "O", "O", "O", "O", "O", "O", "O", "O", "O", "Bi", "Bi", "Bi", "Bi", "Sr", "Sr", "Sr", "Sr", "Ba", "Ba", "Ba", "Ba", "Nb", "Nb", "Nb", "Nb"],
  "fractional_positions": [[0.984, 0.797, 0.287], [0.016, 0.203, 0.287], [0.204, 0.710, 0.977], [0.283, 0.979, 0.794], [0.717, 0.979, 0.206], [0.210, 0.518, 0.712], [0.477, 0.281, 0.226], [0.717, 0.021, 0.794], [0.283, 0.021, 0.206], [0.210, 0.482, 0.288], [0.790, 0.518, 0.288], [0.790, 0.482, 0.712], [0.477, 0.719, 0.774], [0.725, 0.222, 0.516], [0.523, 0.281, 0.774], [0.725, 0.778, 0.484], [0.204, 0.290, 0.023], [0.016, 0.797, 0.713], [0.275, 0.778, 0.516], [0.523, 0.719, 0.226], [0.275, 0.222, 0.484], [0.796, 0.710, 0.023], [0.984, 0.203, 0.713], [0.796, 0.290, 0.977], [0.244, 0.750, 0.251], [0.244, 0.250, 0.749], [0.756, 0.250, 0.251], [0.756, 0.750, 0.749], [0.000, 0.500, 0.500], [0.000, 0.500, 0.000], [0.000, 0.000, 0.500], [0.500, 0.000, 0.000], [0.000, 0.000, 0.000], [0.500, 0.500, 0.000], [0.500, 0.000, 0.500], [0.500, 0.500, 0.500], [0.247, 0.249, 0.249], [0.247, 0.751, 0.751], [0.753, 0.751, 0.249], [0.753, 0.249, 0.751]],
  "spacegroup": "No. 16"
}



[9]
{
  "formula": "BaSrNbBiO6",
  "functional": "PBE-GGA",
  "state": "optimized geometry",
  "lattice": [[-4.303, -0.428, -4.335], [-5.922, 0.296, 1.526], [-3.311, 4.920, -1.523]],
  "species": ["O", "O", "O", "O", "O", "O", "Sr", "Ba", "Bi", "Nb"],
  "fractional_positions": [[0.268, 0.268, 0.732], [0.732, 0.268, 0.732], [0.732, 0.732, 0.268], [0.268, 0.732, 0.732], [0.732, 0.268, 0.268], [0.268, 0.732, 0.268], [0.250, 0.250, 0.250], [0.750, 0.750, 0.750], [0.000, 0.000, 0.000], [0.500, 0.500, 0.500]],
  "spacegroup": "No. 216"
}



Number 1: formation energy -2.29 eV per atom, total DFT energy (no corrections) -6.0365 eV/atom. Number 2: formation energy -2.25 eV per atom, total DFT energy (no corrections) -6.0026 eV/atom. Number 3: formation energy -1.98 eV per atom, total DFT energy (no corrections) -5.6554 eV/atom. Number 4: formation energy -2.91 eV per atom, total DFT energy (no corrections) -7.5496 eV/atom. Number 5: formation energy -2.57 eV per atom, total DFT energy (no corrections) -7.2058 eV/atom. Number 6: formation energy -2.84 eV per atom, total DFT energy (no corrections) -7.1756 eV/atom. Number 7: formation energy -2.43 eV per atom, total DFT energy (no corrections) -7.3859 eV/atom. Number 8: formation energy -2.83 eV per atom, total DFT energy (no corrections) -7.1422 eV/atom. Number 9: formation energy -2.78 eV per atom, total DFT energy (no corrections) -7.0939 eV/atom.